[1]
Al2CuCl8 | GGA-PBE | relaxed

Lattice parameters (Å, degrees): 6.9517 7.6385 12.6648 90.00 95.93 90.00
With the nearest neighbours (Å) after each atom.
Space group P2_1/c (No. 14)
Symmetry-distinct sites (fractional):
Al 0.1893 0.2391 0.1797 [4 per cell]  4 Cl 2.10-2.23
Cu 0.0000 0.0000 0.5000 [2 per cell]  4 Cl 2.31
Cl 0.1028 0.7405 0.9105 [4 per cell]  1 Al 2.23, 1 Cu 2.31
Cl 0.1657 0.2292 0.8444 [4 per cell]  1 Al 2.12
Cl 0.2897 0.0152 0.6074 [4 per cell]  1 Al 2.23, 1 Cu 2.31
Cl 0.3502 0.0222 0.1377 [4 per cell]  1 Al 2.10

Output
Its formation energy is -1687.4 meV per atom. For the corrected total energy (MP2020 scheme), the calculation gives -4.09 eV per atom.

***

[2]
AlCu6H12SClO19 | GGA-PBE | relaxed

Lattice parameters (Å, degrees): 8.2182 14.2925 13.6207 90.00 90.04 90.00
With the nearest neighbours (Å) after each atom.
Space group Cc (No. 9)
Symmetry-distinct sites (fractional):
Al 0.0000 0.1668 0.0000 [4 per cell]  6 O 1.89-1.93
Cu 0.0862 0.3794 0.0012 [4 per cell]  4 O 1.95-1.99
Cu 0.1384 0.3968 0.5010 [4 per cell]  4 O 1.93-2.00
Cu 0.2123 0.1856 0.5263 [4 per cell]  4 O 1.88-1.95
Cu 0.2755 0.0176 0.0017 [4 per cell]  4 O 1.94-1.99
Cu 0.3655 0.2369 0.0261 [4 per cell]  4 O 1.88-1.95
Cu 0.4221 0.4491 0.0272 [4 per cell]  4 O 1.88-1.94
H 0.0305 0.0596 0.1538 [4 per cell]  1 O 0.99
H 0.0819 0.2498 0.3449 [4 per cell]  1 O 1.01
H 0.0873 0.0864 0.3455 [4 per cell]  1 O 1.01
H 0.1469 0.2364 0.1532 [4 per cell]  1 O 0.99
H 0.1908 0.4831 0.1423 [4 per cell]  1 O 1.05
H 0.1942 0.1176 0.8574 [4 per cell]  1 O 0.98
H 0.3231 0.2942 0.6537 [4 per cell]  1 O 0.99
H 0.3294 0.4058 0.3576 [4 per cell]  1 O 0.98
H 0.3323 0.3363 0.8455 [4 per cell]  1 O 1.02
H 0.3790 0.0874 0.6414 [4 per cell]  1 O 1.04
H 0.4303 0.1041 0.1410 [4 per cell]  1 O 1.05
H 0.4767 0.2123 0.3572 [4 per cell]  1 O 0.98
S 0.9997 0.5005 0.2842 [4 per cell]  4 O 1.49-1.50
Cl 0.4978 0.3336 0.1756 [4 per cell]  3 Cu 2.68-2.71
O 0.0001 0.4988 0.8943 [4 per cell]  1 S 1.50
O 0.0238 0.0570 0.0810 [4 per cell]  1 H 0.99
O 0.0666 0.0904 0.2722 [4 per cell]  1 H 1.01
O 0.0696 0.2704 0.4644 [4 per cell]  1 H 1.66
O 0.0826 0.2383 0.2714 [4 per cell]  1 H 1.01
O 0.1206 0.0803 0.4651 [4 per cell]  1 H 1.65
O 0.1532 0.2330 0.0805 [4 per cell]  1 H 0.99
O 0.1681 0.4795 0.2500 [4 per cell]  1 H 1.48, 1 S 1.49
O 0.1794 0.1203 0.9285 [4 per cell]  1 H 0.98
O 0.2023 0.4833 0.0656 [4 per cell]  1 H 1.05
O 0.3107 0.3512 0.9644 [4 per cell]  1 H 1.64
O 0.3235 0.2898 0.5809 [4 per cell]  1 H 0.99
O 0.3406 0.4002 0.4288 [4 per cell]  1 H 0.98
O 0.3519 0.3283 0.7723 [4 per cell]  1 H 1.02
O 0.3738 0.0929 0.5650 [4 per cell]  1 H 1.04
O 0.3842 0.0732 0.7502 [4 per cell]  1 S 1.49, 1 H 1.50
O 0.4244 0.1096 0.0643 [4 per cell]  1 H 1.05
O 0.4468 0.0944 0.2491 [4 per cell]  1 H 1.49, 1 S 1.49
O 0.4794 0.2204 0.4285 [4 per cell]  1 H 0.98

Output
Its formation energy is -1184.1 meV per atom. For the corrected total energy (MP2020 scheme), the calculation gives -5.41 eV per atom.

***

[3]
AlCuH28S2ClO22 | GGA-PBE | relaxed

Lattice parameters (Å, degrees): 6.2623 6.3099 13.4218 82.52 88.77 85.34
With the nearest neighbours (Å) after each atom.
Space group P-1 (No. 2)
Symmetry-distinct sites (fractional):
Al 0.0000 0.0000 0.0000 [1 per cell]  6 O 1.90-1.91
Cu 0.5000 0.0000 0.5000 [1 per cell]  4 O 1.95-1.98
H 0.0302 0.6233 0.1026 [2 per cell]  1 O 1.00
H 0.0777 0.9958 0.1911 [2 per cell]  1 O 1.01
H 0.1087 0.1375 0.6823 [2 per cell]  1 O 1.01
H 0.1233 0.7303 0.3119 [2 per cell]  1 O 0.98
H 0.1349 0.2103 0.4564 [2 per cell]  1 O 0.99
H 0.1501 0.0077 0.3887 [2 per cell]  1 O 1.00
H 0.1498 0.2211 0.1307 [2 per cell]  1 O 1.01
H 0.2274 0.2975 0.9071 [2 per cell]  1 O 1.00
H 0.2853 0.6500 0.5298 [2 per cell]  1 O 0.99
H 0.3240 0.8078 0.9131 [2 per cell]  1 O 1.00
H 0.3728 0.7977 0.0319 [2 per cell]  1 O 1.00
H 0.4192 0.9743 0.7168 [2 per cell]  1 O 0.99
H 0.4564 0.2214 0.6841 [2 per cell]  1 O 0.99
H 0.4945 0.6149 0.5997 [2 per cell]  1 O 0.99
S 0.4329 0.4846 0.1893 [2 per cell]  4 O 1.48-1.50
Cl 0.0000 0.5000 0.5000 [1 per cell]  4 H 2.10-2.16
O 0.0489 0.8748 0.3021 [2 per cell]  2 H 0.98-1.01
O 0.0782 0.2637 0.9291 [2 per cell]  2 H 1.00
O 0.0980 0.0779 0.1221 [2 per cell]  2 H 1.01
O 0.2148 0.0739 0.4437 [2 per cell]  2 H 0.99-1.00
O 0.2162 0.4488 0.1523 [2 per cell]  1 S 1.50, 2 H 1.59-1.63
O 0.2793 0.8706 0.9757 [2 per cell]  2 H 1.00
O 0.3756 0.1010 0.6683 [2 per cell]  2 H 0.99
O 0.4076 0.5539 0.2918 [2 per cell]  1 S 1.50
O 0.4238 0.7155 0.8063 [2 per cell]  1 S 1.48
O 0.4283 0.7013 0.5395 [2 per cell]  2 H 0.99
O 0.4769 0.3410 0.8814 [2 per cell]  1 S 1.50, 2 H 1.63

Output
Its formation energy is -1437.7 meV per atom. For the corrected total energy (MP2020 scheme), the calculation gives -5.47 eV per atom.

***

[4]
AlCu4SbPb6S2Cl4O26 | GGA-PBE | relaxed

Lattice parameters (Å, degrees): 18.8358 7.2096 10.6506 90.00 116.52 90.00
With the nearest neighbours (Å) after each atom.
Space group C2/m (No. 12)
Symmetry-distinct sites (fractional):
Al 0.0000 0.0000 0.0000 [2 per cell]  6 O 1.88-2.00
Cu 0.1121 0.0000 0.8900 [4 per cell]  5 O 1.91-2.00
Cu 0.2500 0.2500 0.0000 [4 per cell]  4 O 1.84-1.95
Sb 0.0000 0.0000 0.5000 [2 per cell]  6 O 1.98-2.02
Pb 0.0629 0.2378 0.2907 [8 per cell]  4 O 2.22-2.48
Pb 0.1905 0.0000 0.6760 [4 per cell]  5 O 2.28-2.34
S 0.2348 0.5000 0.5766 [4 per cell]  4 O 1.46-1.54
Cl 0.0333 0.5000 0.7012 [4 per cell]  2 Pb 2.65
Cl 0.1578 0.5000 0.1567 [4 per cell]  1 Pb 2.61
O 0.0195 0.0000 0.6989 [4 per cell]  1 Sb 1.98, 1 Cu 2.00
O 0.0520 0.1738 0.9385 [8 per cell]  1 Al 1.88, 1 Cu 1.91
O 0.0856 0.1860 0.5275 [8 per cell]  1 Sb 2.02
O 0.0923 0.0000 0.1903 [4 per cell]  1 Al 2.00, 2 Pb 2.22
O 0.1574 0.5000 0.4431 [4 per cell]  1 S 1.51
O 0.1657 0.1851 0.8332 [8 per cell]  2 Cu 1.84-1.93
O 0.1979 0.0000 0.4684 [4 per cell]  1 S 1.54
O 0.2322 0.0000 0.0504 [4 per cell]  3 Cu 1.95-2.14
O 0.2435 0.3302 0.6567 [8 per cell]  1 S 1.46

Output
Its formation energy is -1197.2 meV per atom. For the corrected total energy (MP2020 scheme), the calculation gives -5.53 eV per atom.

***

[5]
AlCu6SClO19 | GGA-PBE | relaxed

Lattice parameters (Å, degrees): 7.8687 7.8687 14.2897 90.00 90.00 120.00
With the nearest neighbours (Å) after each atom.
Space group P31c (No. 159)
Symmetry-distinct sites (fractional):
Al 0.3333 0.6667 0.0000 [2 per cell]  6 O 1.90-1.91
Cu 0.0430 0.2422 0.0059 [6 per cell]  4 O 1.86-1.91
Cu 0.0907 0.6235 0.4928 [6 per cell]  4 O 1.86-1.92
S 0.0000 0.0000 0.2180 [2 per cell]  4 O 1.47-1.56
Cl 0.3333 0.6667 0.3653 [2 per cell]  3 Cu 2.54
O 0.0000 0.0000 0.1088 [2 per cell]  1 S 1.56
O 0.0365 0.8421 0.2486 [6 per cell]  1 S 1.47
O 0.0376 0.8208 0.4458 [6 per cell]  3 Cu 1.88-1.92
O 0.1013 0.5042 0.9310 [6 per cell]  1 Cu 1.86, 1 Al 1.90
O 0.1532 0.4478 0.5543 [6 per cell]  3 Cu 1.90-1.91
O 0.1686 0.7360 0.0680 [6 per cell]  1 Cu 1.86, 1 Al 1.91
O 0.2148 0.5798 0.7422 [6 per cell]  2 O 1.45

Output
Its formation energy is -367.4 meV per atom.

***

[6]
Sr10Al2ClF25 | GGA-PBE | relaxed

Lattice parameters (Å, degrees): 16.6122 16.6122 16.6122 90.00 90.00 90.00
With the nearest neighbours (Å) after each atom.
Space group Fd-3m (No. 227, origin choice 2)
Symmetry-distinct sites (fractional):
Sr 0.0395 0.0395 0.2105 [32 per cell]  10 F 2.46-2.69
Sr 0.0692 0.3750 0.8750 [48 per cell]  8 F 2.58-2.72
Al 0.0000 0.0000 0.0000 [16 per cell]  6 F 1.81
Cl 0.1250 0.1250 0.6250 [8 per cell]  6 Sr 3.23, 12 F 3.46
F 0.0216 0.0216 0.3572 [96 per cell]  4 Sr 2.47-2.72
F 0.0376 0.3222 0.3222 [96 per cell]  1 Al 1.81
F 0.1250 0.1250 0.1250 [8 per cell]  4 Sr 2.46

Output
Its formation energy is -4087.5 meV per atom. For the corrected total energy (MP2020 scheme), the calculation gives -6.04 eV per atom.

***

[7]
AlGaCl4 | GGA-PBE | relaxed

Lattice parameters (Å, degrees): 7.2775 10.2375 11.7056 90.00 125.00 90.00
With the nearest neighbours (Å) after each atom.
Space group P2_1/c (No. 14)
Symmetry-distinct sites (fractional):
Al 0.0746 0.0450 0.3175 [4 per cell]  4 Cl 2.15-2.17
Ga 0.4353 0.2130 0.7886 [4 per cell]  3 Cl 2.95-3.19
Cl 0.1360 0.6278 0.9393 [4 per cell]  1 Al 2.15
Cl 0.2170 0.0290 0.1980 [4 per cell]  1 Al 2.17
Cl 0.2377 0.2167 0.4463 [4 per cell]  1 Al 2.17
Cl 0.2840 0.5695 0.3195 [4 per cell]  1 Al 2.15

Output
Its formation energy is -1700.1 meV per atom. For the corrected total energy (MP2020 scheme), the calculation gives -4.06 eV per atom.

***

[8]
Li4Al3Ge3ClO12 | GGA-PBE | relaxed

Lattice parameters (Å, degrees): 8.7180 8.7180 8.7180 90.00 90.00 90.00
With the nearest neighbours (Å) after each atom.
Space group P-43n (No. 218)
Symmetry-distinct sites (fractional):
Li 0.1731 0.1731 0.1731 [8 per cell]  3 O 2.04
Al 0.0000 0.2500 0.5000 [6 per cell]  4 O 1.77
Ge 0.0000 0.5000 0.2500 [6 per cell]  4 O 1.77
Cl 0.0000 0.0000 0.0000 [2 per cell]  4 Li 2.61
O 0.0981 0.3623 0.6379 [24 per cell]  1 Ge 1.77, 1 Al 1.77

Output
Its formation energy is -2636.9 meV per atom. For the corrected total energy (MP2020 scheme), the calculation gives -6.72 eV per atom. As for the maximum piezoelectric response: 0.19 C/m².